# RhWN3

A relaxed RhWN3 crystal (PBE-GGA, the Materials Project database).

The structure belongs to space group P-1 (No. 2); the cell edges are 5.963, 6.475 and 7.776 Å and the angles 76.30°, 81.17° and 88.38°. The distinct sites, in fractional coordinates, are Rh at (0.092, 0.275, 0.188), Rh at (0.272, 0.652, 0.984), W at (0.131, 0.171, 0.731), W at (0.324, 0.485, 0.380), N at (0.038, 0.315, 0.444), N at (0.078, 0.255, 0.938), N at (0.127, 0.746, 0.416), N at (0.210, 0.889, 0.782), N at (0.415, 0.327, 0.608) and N at (0.426, 0.415, 0.156).

The volume is 288 Å³/cell. For the energy of formation, the calculation gives 27 kJ/mol of formula units. Its electronic total energy is -175.86 eV for the cell shown.